1.
# BaSrPrHfO6 PBE optimized geometry
data_BaSrPrHfO6
_cell_length_a 6.1037
_cell_length_b 6.1932
_cell_length_c 8.6585
_cell_angle_alpha 89.64
_cell_angle_beta 89.62
_cell_angle_gamma 89.94
_symmetry_space_group_name_H-M 'P -1'
_symmetry_Int_Tables_number 2
loop_
_symmetry_equiv_pos_as_xyz
'x,y,z'
'-x,-y,-z'
loop_
_atom_site_label
_atom_site_type_symbol
_atom_site_fract_x
_atom_site_fract_y
_atom_site_fract_z
_atom_site_occupancy
Ba1 Ba 0.0079 0.0345 0.2495 1
Sr1 Sr 0.4882 0.5410 0.2479 1
Pr1 Pr 0.0000 0.5000 0.0000 1
Pr2 Pr 0.5000 0.0000 0.5000 1
Hf1 Hf 0.0000 0.5000 0.5000 1
Hf2 Hf 0.5000 0.0000 0.0000 1
O1 O 0.0984 0.5177 0.7322 1
O2 O 0.1945 0.7709 0.4543 1
O3 O 0.2277 0.8026 0.0390 1
O4 O 0.2743 0.3070 0.4483 1
O5 O 0.3127 0.2766 0.0524 1
O6 O 0.4220 0.0456 0.7673 1
# MP2020-corrected energy = -163.45 eV for the cell shown
# ΔE to the lowest computed polymorph = 0.000 eV per atom
# E_form = -3369.1 meV/atom

2.
# BaHfSi3O9 PBE optimized geometry
data_BaHfSi3O9
_cell_length_a 6.8359
_cell_length_b 6.8359
_cell_length_c 10.1102
_cell_angle_alpha 90.00
_cell_angle_beta 90.00
_cell_angle_gamma 120.00
_symmetry_space_group_name_H-M 'P -6 c 2'
_symmetry_Int_Tables_number 188
_symmetry_space_group_name_Hall 'P -6c 2'
loop_
_atom_site_label
_atom_site_type_symbol
_atom_site_fract_x
_atom_site_fract_y
_atom_site_fract_z
_atom_site_occupancy
Ba1 Ba 0.0000 0.0000 0.0000 1
Hf1 Hf 0.3333 0.6667 0.0000 1
Si1 Si 0.4463 0.0525 0.2500 1
O1 O 0.0872 0.4109 0.1162 1
O2 O 0.4188 0.1387 0.7500 1
# MP2020-corrected energy = -243.92 eV for the cell shown
# E_form = -3519.9 meV/atom

3.
# BaHfZrSnO6 PBE optimized geometry
data_BaHfZrSnO6
_cell_length_a 8.4005
_cell_length_b 8.4005
_cell_length_c 8.4005
_cell_angle_alpha 90.00
_cell_angle_beta 90.00
_cell_angle_gamma 90.00
_symmetry_space_group_name_H-M 'F -4 3 m'
_symmetry_Int_Tables_number 216
_symmetry_space_group_name_Hall 'F -4 2 3'
loop_
_atom_site_label
_atom_site_type_symbol
_atom_site_fract_x
_atom_site_fract_y
_atom_site_fract_z
_atom_site_occupancy
Ba1 Ba 0.0000 0.0000 0.0000 1
Hf1 Hf 0.2500 0.2500 0.7500 1
Zr1 Zr 0.2500 0.2500 0.2500 1
Sn1 Sn 0.0000 0.0000 0.5000 1
O1 O 0.0018 0.2500 0.7500 1
# MP2020-corrected energy = -346.02 eV for the cell shown
# E_form = -3238.3 meV/atom

4.
# BaSrHf4O12 PBE optimized geometry
data_BaSrHf4O12
_cell_length_a 8.2839
_cell_length_b 8.2775
_cell_length_c 8.2912
_cell_angle_alpha 90.00
_cell_angle_beta 90.00
_cell_angle_gamma 90.00
_symmetry_space_group_name_H-M 'A m m 2'
_symmetry_Int_Tables_number 38
loop_
_symmetry_equiv_pos_as_xyz
'x,y,z'
'-x,-y,z'
'-x,y,z'
'x,-y,z'
'x,y+1/2,z+1/2'
'-x,-y+1/2,z+1/2'
'-x,y+1/2,z+1/2'
'x,-y+1/2,z+1/2'
loop_
_atom_site_label
_atom_site_type_symbol
_atom_site_fract_x
_atom_site_fract_y
_atom_site_fract_z
_atom_site_occupancy
Ba1 Ba 0.0000 0.0000 0.0000 1
Sr1 Sr 0.5000 0.0000 0.4818 1
Hf1 Hf 0.2518 0.2475 0.7423 1
O1 O 0.0000 0.2392 0.7441 1
O2 O 0.2450 0.0000 0.2536 1
O3 O 0.2524 0.2383 0.9926 1
O4 O 0.2780 0.0000 0.7216 1
O5 O 0.5000 0.2273 0.2532 1
# MP2020-corrected energy = -323.11 eV for the cell shown
# E_form = -3263.5 meV/atom

5.
# Ba4SrHf5O15 PBE optimized geometry
data_Ba4SrHf5O15
_cell_length_a 5.9353
_cell_length_b 5.9353
_cell_length_c 36.3340
_cell_angle_alpha 90.00
_cell_angle_beta 90.00
_cell_angle_gamma 120.00
_symmetry_space_group_name_H-M 'R -3 m'
_symmetry_Int_Tables_number 166
_symmetry_space_group_name_Hall '-R 3 2"'
loop_
_atom_site_label
_atom_site_type_symbol
_atom_site_fract_x
_atom_site_fract_y
_atom_site_fract_z
_atom_site_occupancy
Ba1 Ba 0.0000 0.0000 0.1002 1
Ba2 Ba 0.0000 0.0000 0.3000 1
Sr1 Sr 0.0000 0.0000 0.5000 1
Hf1 Hf 0.0000 0.0000 0.0000 1
Hf2 Hf 0.0000 0.0000 0.1998 1
Hf3 Hf 0.0000 0.0000 0.4003 1
O1 O 0.0002 0.5001 0.3000 1
O2 O 0.0000 0.5000 0.5000 1
O3 O 0.0018 0.5009 0.1005 1
# MP2020-corrected energy = -683.91 eV for the cell shown
# E_form = -3783.9 meV/atom

6.
# BaSrHf2O6 PBE optimized geometry
data_BaSrHf2O6
_cell_length_a 5.8859
_cell_length_b 5.8859
_cell_length_c 8.3753
_cell_angle_alpha 90.00
_cell_angle_beta 90.00
_cell_angle_gamma 90.00
_symmetry_space_group_name_H-M 'I -4 2 m'
_symmetry_Int_Tables_number 121
_symmetry_space_group_name_Hall 'I -4 2'
loop_
_atom_site_label
_atom_site_type_symbol
_atom_site_fract_x
_atom_site_fract_y
_atom_site_fract_z
_atom_site_occupancy
Ba1 Ba 0.0000 0.0000 0.0000 1
Sr1 Sr 0.0000 0.0000 0.5000 1
Hf1 Hf 0.0000 0.5000 0.2500 1
O1 O 0.0000 0.5000 0.0000 1
O2 O 0.2214 0.2214 0.7477 1
# MP2020-corrected energy = -182.11 eV for the cell shown
# E_form = -3784.4 meV/atom

7.
# BaSrHfZrO6 PBE optimized geometry
data_BaSrHfZrO6
_cell_length_a 8.4030
_cell_length_b 8.4030
_cell_length_c 8.4030
_cell_angle_alpha 90.00
_cell_angle_beta 90.00
_cell_angle_gamma 90.00
_symmetry_space_group_name_H-M 'F -4 3 m'
_symmetry_Int_Tables_number 216
_symmetry_space_group_name_Hall 'F -4 2 3'
loop_
_atom_site_label
_atom_site_type_symbol
_atom_site_fract_x
_atom_site_fract_y
_atom_site_fract_z
_atom_site_occupancy
Ba1 Ba 0.0000 0.0000 0.0000 1
Sr1 Sr 0.0000 0.0000 0.5000 1
Hf1 Hf 0.2500 0.2500 0.2500 1
Zr1 Zr 0.2500 0.2500 0.7500 1
O1 O 0.0018 0.2500 0.2500 1
# MP2020-corrected energy = -355.21 eV for the cell shown
# E_form = -3700.3 meV/atom

8.
# Ba3HfTa4O15 PBE optimized geometry
data_Ba3HfTa4O15
_cell_length_a 4.0269
_cell_length_b 12.8293
_cell_length_c 12.8321
_cell_angle_alpha 90.00
_cell_angle_beta 90.12
_cell_angle_gamma 90.00
_symmetry_space_group_name_H-M 'P 1 c 1'
_symmetry_Int_Tables_number 7
loop_
_symmetry_equiv_pos_as_xyz
'x,y,z'
'x,-y,z+1/2'
loop_
_atom_site_label
_atom_site_type_symbol
_atom_site_fract_x
_atom_site_fract_y
_atom_site_fract_z
_atom_site_occupancy
Ba1 Ba 0.0000 0.0756 0.0000 1
Ba2 Ba 0.9945 0.2490 0.3313 1
Ba3 Ba 0.9987 0.4228 0.6588 1
Hf1 Hf 0.4987 0.1707 0.5455 1
Ta1 Ta 0.4887 0.0368 0.2533 1
Ta2 Ta 0.4887 0.3246 0.1164 1
Ta3 Ta 0.4898 0.4614 0.4063 1
Ta4 Ta 0.5211 0.2522 0.8274 1
O1 O 0.4920 0.2632 0.6752 1
O2 O 0.4940 0.0951 0.8282 1
O3 O 0.4935 0.2476 0.9844 1
O4 O 0.4968 0.4055 0.8256 1
O5 O 0.4992 0.0214 0.6079 1
O6 O 0.4991 0.1090 0.3875 1
O7 O 0.4989 0.1872 0.1855 1
O8 O 0.5003 0.3954 0.2597 1
O9 O 0.5007 0.4675 0.0452 1
O10 O 0.5016 0.3218 0.4677 1
O11 O 0.9961 0.2483 0.8307 1
O12 O 0.9971 0.0464 0.2451 1
O13 O 0.9982 0.3327 0.1241 1
O14 O 0.9989 0.1622 0.5269 1
O15 O 0.9991 0.4578 0.4067 1
# MP2020-corrected energy = -437.05 eV for the cell shown
# E_form = -3528.7 meV/atom

9.
# Ba2TbHfO6 PBE optimized geometry
data_Ba2TbHfO6
_cell_length_a 8.6930
_cell_length_b 8.6930
_cell_length_c 8.6930
_cell_angle_alpha 90.00
_cell_angle_beta 90.00
_cell_angle_gamma 90.00
_symmetry_space_group_name_H-M 'F m -3 m'
_symmetry_Int_Tables_number 225
_symmetry_space_group_name_Hall '-F 4 2 3'
loop_
_atom_site_label
_atom_site_type_symbol
_atom_site_fract_x
_atom_site_fract_y
_atom_site_fract_z
_atom_site_occupancy
Ba1 Ba 0.2500 0.2500 0.2500 1
Tb1 Tb 0.0000 0.0000 0.0000 1
Hf1 Hf 0.0000 0.0000 0.5000 1
O1 O 0.0000 0.0000 0.2600 1
# MP2020-corrected energy = -330.86 eV for the cell shown
# E_form = -3459.9 meV/atom

10.
# Ba2TbHfO6 PBE optimized geometry
data_Ba2TbHfO6
_cell_length_a 8.6734
_cell_length_b 8.6734
_cell_length_c 8.6734
_cell_angle_alpha 90.00
_cell_angle_beta 90.00
_cell_angle_gamma 90.00
_symmetry_space_group_name_H-M 'P n -3'
_symmetry_Int_Tables_number 201
loop_
_symmetry_equiv_pos_as_xyz
'x,y,z'
'-x,-y,-z'
'-x+1/2,-y+1/2,z'
'x+1/2,y+1/2,-z'
'x,-y+1/2,-z+1/2'
'-x,y+1/2,z+1/2'
'-x+1/2,y,-z+1/2'
'x+1/2,-y,z+1/2'
'z,x,y'
'-z,-x,-y'
'z,-x+1/2,-y+1/2'
'-z,x+1/2,y+1/2'
'-z+1/2,x,-y+1/2'
'z+1/2,-x,y+1/2'
'-z+1/2,-x+1/2,y'
'z+1/2,x+1/2,-y'
'y,z,x'
'-y,-z,-x'
'-y+1/2,z,-x+1/2'
'y+1/2,-z,x+1/2'
'-y+1/2,-z+1/2,x'
'y+1/2,z+1/2,-x'
'y,-z+1/2,-x+1/2'
'-y,z+1/2,x+1/2'
loop_
_atom_site_label
_atom_site_type_symbol
_atom_site_fract_x
_atom_site_fract_y
_atom_site_fract_z
_atom_site_occupancy
Ba1 Ba 0.2500 0.2500 0.2500 1
Ba2 Ba 0.2500 0.2500 0.7500 1
Tb1 Tb 0.0000 0.0000 0.0000 1
Hf1 Hf 0.0000 0.0000 0.5000 1
O1 O 0.0153 0.5164 0.7601 1
# MP2020-corrected energy = -330.89 eV for the cell shown
# E_form = -3460.5 meV/atom

11.
# Ba2HfUO6 PBE optimized geometry
data_Ba2HfUO6
_cell_length_a 8.6616
_cell_length_b 8.6616
_cell_length_c 8.6616
_cell_angle_alpha 90.00
_cell_angle_beta 90.00
_cell_angle_gamma 90.00
_symmetry_space_group_name_H-M 'F m -3 m'
_symmetry_Int_Tables_number 225
_symmetry_space_group_name_Hall '-F 4 2 3'
loop_
_atom_site_label
_atom_site_type_symbol
_atom_site_fract_x
_atom_site_fract_y
_atom_site_fract_z
_atom_site_occupancy
Ba1 Ba 0.2500 0.2500 0.2500 1
Hf1 Hf 0.0000 0.0000 0.0000 1
U1 U 0.0000 0.0000 0.5000 1
O1 O 0.0000 0.0000 0.2425 1
# MP2020-corrected energy = -363.30 eV for the cell shown
# E_form = -3605.1 meV/atom

12.
# Ba6Hf5S16 PBE optimized geometry
data_Ba6Hf5S16
_cell_length_a 5.0052
_cell_length_b 5.0052
_cell_length_c 55.7695
_cell_angle_alpha 90.00
_cell_angle_beta 90.00
_cell_angle_gamma 90.00
_symmetry_space_group_name_H-M 'I 4/m m m'
_symmetry_Int_Tables_number 139
_symmetry_space_group_name_Hall '-I 4 2'
loop_
_atom_site_label
_atom_site_type_symbol
_atom_site_fract_x
_atom_site_fract_y
_atom_site_fract_z
_atom_site_occupancy
Ba1 Ba 0.0000 0.0000 0.0445 1
Ba2 Ba 0.0000 0.0000 0.1328 1
Ba3 Ba 0.0000 0.0000 0.2179 1
Hf1 Hf 0.0000 0.0000 0.3186 1
Hf2 Hf 0.0000 0.0000 0.4096 1
Hf3 Hf 0.0000 0.0000 0.5000 1
S1 S 0.0000 0.0000 0.2741 1
S2 S 0.0000 0.0000 0.3650 1
S3 S 0.0000 0.0000 0.4549 1
S4 S 0.0000 0.5000 0.0000 1
S5 S 0.0000 0.5000 0.0899 1
S6 S 0.0000 0.5000 0.1790 1
# MP2020-corrected energy = -369.94 eV for the cell shown
# E_form = -2129.1 meV/atom

13.
# BaHfS3 PBE optimized geometry
data_BaHfS3
_cell_length_a 8.8035
_cell_length_b 3.8835
_cell_length_c 14.5150
_cell_angle_alpha 90.00
_cell_angle_beta 90.00
_cell_angle_gamma 90.00
_symmetry_space_group_name_H-M 'P n m a'
_symmetry_Int_Tables_number 62
loop_
_symmetry_equiv_pos_as_xyz
'x,y,z'
'-x,-y,-z'
'-x+1/2,-y,z+1/2'
'x+1/2,y,-z+1/2'
'x+1/2,-y+1/2,-z+1/2'
'-x+1/2,y+1/2,z+1/2'
'-x,y+1/2,-z'
'x,-y+1/2,z'
loop_
_atom_site_label
_atom_site_type_symbol
_atom_site_fract_x
_atom_site_fract_y
_atom_site_fract_z
_atom_site_occupancy
Ba1 Ba 0.0643 0.2500 0.1753 1
Hf1 Hf 0.1634 0.7500 0.4424 1
S1 S 0.0204 0.7500 0.6017 1
S2 S 0.1739 0.7500 0.0052 1
S3 S 0.2184 0.2500 0.7905 1
# MP2020-corrected energy = -139.80 eV for the cell shown
# E_form = -2132.8 meV/atom

14.
# BaHfS3 PBE optimized geometry
data_BaHfS3
_cell_length_a 7.0868
_cell_length_b 7.0868
_cell_length_c 8.6824
_cell_angle_alpha 90.00
_cell_angle_beta 90.00
_cell_angle_gamma 120.00
_symmetry_space_group_name_H-M 'R 3 m'
_symmetry_Int_Tables_number 160
_symmetry_space_group_name_Hall 'R 3 -2"'
loop_
_atom_site_label
_atom_site_type_symbol
_atom_site_fract_x
_atom_site_fract_y
_atom_site_fract_z
_atom_site_occupancy
Ba1 Ba 0.0000 0.0000 0.0000 1
Hf1 Hf 0.0000 0.0000 0.5018 1
S1 S 0.1672 0.3345 0.3373 1
# MP2020-corrected energy = -104.54 eV for the cell shown
# E_form = -2112.1 meV/atom

15.
# Ba5Hf4S13 PBE optimized geometry
data_Ba5Hf4S13
_cell_length_a 5.0041
_cell_length_b 5.0041
_cell_length_c 45.7625
_cell_angle_alpha 90.00
_cell_angle_beta 90.00
_cell_angle_gamma 90.00
_symmetry_space_group_name_H-M 'I 4/m m m'
_symmetry_Int_Tables_number 139
_symmetry_space_group_name_Hall '-I 4 2'
loop_
_atom_site_label
_atom_site_type_symbol
_atom_site_fract_x
_atom_site_fract_y
_atom_site_fract_z
_atom_site_occupancy
Ba1 Ba 0.0000 0.0000 0.0000 1
Ba2 Ba 0.0000 0.0000 0.1075 1
Ba3 Ba 0.0000 0.0000 0.2110 1
Hf1 Hf 0.0000 0.0000 0.3338 1
Hf2 Hf 0.0000 0.0000 0.4447 1
S1 S 0.0000 0.0000 0.2795 1
S2 S 0.0000 0.0000 0.3902 1
S3 S 0.0000 0.0000 0.5000 1
S4 S 0.0000 0.5000 0.0548 1
S5 S 0.0000 0.5000 0.1634 1
# MP2020-corrected energy = -300.39 eV for the cell shown
# E_form = -2136.2 meV/atom